Entry 1:
## LiB3H18N5 (PBE)

Data for crystalline LiB3H18N5 at its relaxed geometry.

Energy with MP2020 corrections (eV per atom): -5.0081
Energy (eV/atom): -4.94
Mass density (Mg/m³): 0.8
Volume (Å³ per atom): 9.2
DFT formation energy (eV/atom): -0.390

The structure in extended XYZ format:
```
108
Lattice="7.6306 0.0000 0.0000 0.0000 12.1356 0.0000 -1.0535 0.0000 10.7856" Properties=species:S:1:pos:R:3 pbc="T T T"
Li -0.1746 3.0185 3.2584
Li -0.7014 3.0493 8.6513
Li 7.2785 9.0863 2.1344
Li 6.7517 9.1171 7.5272
B 2.3618 6.2148 4.6051
B 1.8350 11.9885 9.9979
B 3.0147 0.0541 0.9311
B 2.4879 6.0137 6.3239
B 2.6878 1.2173 10.6482
B 3.2145 4.8505 5.2554
B 3.3626 7.2851 5.5302
B 3.8893 10.9183 0.1374
B 4.0892 6.1219 4.4618
B 3.5625 12.0815 9.8546
B 4.7421 0.1470 0.7877
B 4.2153 5.9208 6.1805
H 0.0441 2.5166 0.4875
H -0.4826 3.5512 5.8803
H 0.2309 0.4876 2.8761
H -0.2959 5.5802 8.2689
H 0.3955 6.6724 1.3398
H -0.1312 11.5310 6.7326
H 0.2174 7.4583 5.7837
H 0.7442 10.7451 0.3909
H -0.1490 1.3497 10.5125
H 0.3778 4.7180 5.1196
H 0.6798 0.6593 4.4411
H 0.1530 5.4084 9.8339
H 0.8025 8.0074 9.4057
H 1.3293 10.1960 4.0129
H 1.4527 6.3503 3.8217
H 0.9259 11.8530 9.2145
H 1.1539 1.8305 6.9305
H 1.6806 4.2373 1.5377
H 1.8824 8.7050 3.6309
H 1.3556 9.4984 9.0237
H 1.5106 8.2436 7.9562
H 2.0374 9.9598 2.5634
H 2.1742 2.7267 1.9249
H 1.6475 3.3411 7.3178
H 2.2330 0.1197 1.8556
H 1.7063 5.9481 7.2484
H 1.6512 2.1338 8.4514
H 2.1780 3.9340 3.0586
H 2.9936 7.9009 0.8659
H 2.4669 10.3025 6.2587
H 2.9051 6.6447 1.9257
H 2.3784 11.5587 7.3185
H 3.4512 6.4422 0.4290
H 2.9244 11.7611 5.8218
H 2.5928 2.4210 10.5204
H 3.1196 3.6468 5.1276
H 3.4576 8.4888 5.6580
H 3.9843 9.7145 0.2652
H 3.6527 0.3744 4.9638
H 3.1260 5.6933 10.3566
H 4.1988 0.5769 3.4671
H 3.6720 5.4909 8.8599
H 4.1103 1.8331 4.5269
H 3.5835 4.2347 9.9197
H 4.3991 8.2015 7.7271
H 4.9259 10.0018 2.3343
H 4.8708 6.1875 3.5372
H 4.3441 12.0159 8.9300
H 4.9297 8.7945 3.4679
H 4.4029 9.4089 8.8607
H 4.5398 2.1758 8.2223
H 5.0665 3.8920 2.8294
H 5.2215 2.6372 1.7619
H 4.6948 3.4306 7.1547
H 4.8965 7.8983 9.2479
H 5.4232 10.3051 3.8551
H 5.6512 0.2825 1.5711
H 5.1244 5.7853 6.9639
H 5.2478 1.9396 6.7727
H 5.7746 4.1282 1.3799
H 6.4241 6.7271 0.9517
H 5.8973 11.4762 6.3445
H 6.1993 7.4175 5.6660
H 6.7261 10.7858 0.2732
H 5.8330 1.3905 10.3947
H 6.3597 4.6773 5.0019
H 6.7083 0.6046 4.0530
H 6.1816 5.4632 9.4458
H 6.8730 6.5554 2.5167
H 6.3462 11.6480 7.9095
H 7.0597 8.5844 4.9053
H 6.5330 9.6190 10.2981
N -0.9559 1.9773 10.4052
N -0.4292 4.0905 5.0124
N -0.0102 0.9649 3.7508
N -0.5369 5.1029 9.1436
N 0.8756 8.6770 8.6354
N 1.4023 9.5264 3.2426
N 1.1173 2.5362 7.6692
N 1.6441 3.5315 2.2764
N 2.7206 6.9123 0.9515
N 2.1938 11.2911 6.3443
N 4.3833 0.8445 4.4413
N 3.8565 5.2233 9.8342
N 4.9330 8.6040 8.5092
N 5.4598 9.5993 3.1164
N 5.1748 2.6092 7.5431
N 5.7015 3.4586 2.1502
N 7.1140 7.0326 1.6420
N 6.5873 11.1707 7.0348
N 7.0063 8.0451 5.7733
N 7.5331 10.1583 0.3805
```

Entry 2:
## Li4BH10N3 (PBE)

Data for crystalline Li4BH10N3 at its relaxed geometry.

Energy with MP2020 corrections (eV per atom): -4.5815
Energy (eV/atom): -4.52
Mass density (Mg/m³): 1.0
Volume (Å³ per atom): 8.6
DFT formation energy (eV/atom): -0.512

The structure in extended XYZ format:
```
72
Lattice="-5.3687 5.3687 5.3687 5.3687 -5.3687 5.3687 5.3687 5.3687 -5.3687" Properties=species:S:1:pos:R:3 pbc="T T T"
Li 7.8552 -2.4865 2.4865
Li 5.3687 -2.6844 4.9728
Li 4.9728 5.3687 -2.6844
Li 7.7993 0.0000 2.6844
Li 5.3687 2.6844 0.3960
Li 2.4865 7.8552 -2.4865
Li 5.3687 2.6844 2.9382
Li 2.8822 2.8822 2.8822
Li 2.6844 0.3960 5.3687
Li 2.6844 7.7993 0.0000
Li 0.3960 5.3687 2.6844
Li 2.9382 5.3687 2.6844
Li 2.6844 2.9382 5.3687
Li -2.6844 4.9728 5.3687
Li -2.4865 2.4865 7.8552
Li 0.0000 2.6844 7.7993
B 3.9219 1.4469 -1.4469
B 1.4469 -1.4469 3.9219
B 1.4469 1.4469 1.4469
B -1.4469 3.9219 1.4469
H 4.6324 0.7364 -0.7364
H 9.1909 -0.5673 0.6241
H 8.9793 1.4572 -0.8383
H 3.9115 -0.8383 1.7582
H 6.4412 3.9670 -2.6174
H 0.7364 0.7364 0.7364
H 3.9670 2.6174 -1.0725
H 6.7705 2.7513 -1.0725
H 5.9360 0.6241 1.5466
H 7.1269 1.4572 0.8383
H 2.6174 1.0725 1.4018
H 2.6174 -1.0725 3.9670
H 1.7582 3.9115 -0.8383
H 5.9360 -0.6241 3.8221
H 1.4018 2.6174 1.0725
H 3.9670 -2.6174 6.4412
H 0.7364 -0.7364 4.6324
H 1.0725 1.4018 2.6174
H 3.9115 0.8383 3.6105
H 3.6105 3.9115 0.8383
H 3.8221 5.9360 -0.6241
H -0.7364 4.6324 0.7364
H -0.8383 1.7582 3.9115
H 2.7513 -1.0725 6.7705
H 4.8015 4.7446 1.5466
H 4.7446 1.5466 4.8015
H 1.5466 5.9360 0.6241
H -1.0725 3.9670 2.6174
H 0.6241 1.5466 5.9360
H 0.8383 3.6105 3.9115
H 1.4572 0.8383 7.1269
H 1.4572 -0.8383 8.9793
H 0.8383 7.1269 1.4572
H 0.6241 9.1909 -0.5673
H -1.0725 6.7705 2.7513
H 1.5466 4.8015 4.7446
H -0.6241 3.8221 5.9360
H -0.5673 0.6241 9.1909
H -2.6174 6.4412 3.9670
H -0.8383 8.9793 1.4572
N 9.0615 -1.1587 1.4550
N 6.5274 -1.4550 3.6928
N 6.5274 1.4550 1.6759
N 3.6928 6.5274 -1.4550
N 4.2101 3.9137 1.6759
N 3.9137 1.6759 4.2101
N 1.4550 9.0615 -1.1587
N 1.6759 6.5274 1.4550
N 1.6759 4.2101 3.9137
N 1.4550 1.6759 6.5274
N -1.4550 3.6928 6.5274
N -1.1587 1.4550 9.0615
```

Entry 3:
## Li3B3H16N2 (PBE)

Data for crystalline Li3B3H16N2 at its relaxed geometry.

Energy with MP2020 corrections (eV per atom): -4.3440
Energy (eV/atom): -4.31
Mass density (Mg/m³): 0.8
Volume (Å³ per atom): 8.8
DFT formation energy (eV/atom): -0.314

The structure in extended XYZ format:
```
48
Lattice="7.5148 0.0000 0.0000 0.0000 7.1310 0.0000 -0.3817 0.0000 7.8537" Properties=species:S:1:pos:R:3 pbc="T T T"
Li 0.4893 0.0000 2.4932
Li 2.0656 3.6486 1.5835
Li 2.1353 5.2635 5.8544
Li 4.9978 1.6980 1.9994
Li 5.0676 0.0831 6.2703
Li 6.6439 3.5655 5.3606
B 0.7224 4.8498 3.4365
B 0.7601 3.7587 7.1734
B 2.6500 1.1350 2.0807
B 4.4832 4.7005 5.7730
B 6.3731 0.1933 0.6804
B 6.4108 1.2843 4.4172
H 0.0506 0.4572 0.6687
H 0.0108 1.1590 3.9329
H 0.5542 5.1758 2.2586
H 0.9613 2.7573 7.8387
H 1.1486 0.6166 6.0512
H 1.1616 3.5096 6.0343
H 1.3554 3.8078 3.4903
H 1.3300 5.7475 4.0227
H 1.3547 4.7356 7.6286
H 1.6773 1.7612 2.4878
H 2.3102 0.0512 1.6212
H 2.0282 0.2602 7.3804
H 3.1818 1.7746 1.1801
H 3.0385 1.9069 6.0734
H 3.1287 0.8420 4.8416
H 3.4295 0.9525 3.0119
H 3.7037 4.5180 4.8419
H 4.0044 4.4075 3.0122
H 4.0947 5.4724 1.7804
H 3.9514 5.3401 6.6737
H 4.8229 3.6167 6.2326
H 5.1049 3.8257 0.4733
H 5.4559 5.3267 5.3660
H 5.7785 1.1701 0.2252
H 5.7778 0.2423 4.3634
H 5.8031 2.1820 3.8311
H 5.9716 7.0751 1.8194
H 5.9846 4.1821 1.8026
H 6.1719 6.3228 0.0151
H 6.5789 1.6103 5.5951
H 7.1224 4.7245 3.9208
H 7.0826 4.0227 7.1850
N 2.0143 0.1599 6.3562
N 3.1627 0.9064 5.8654
N 3.9704 4.4719 1.9884
N 5.1189 3.7254 1.4976
```

Entry 4:
## LiBH9N3 (PBE)

Data for crystalline LiBH9N3 at its relaxed geometry.

Energy with MP2020 corrections (eV per atom): -4.9344
Energy (eV/atom): -4.86
Mass density (Mg/m³): 1.0
Volume (Å³ per atom): 8.4
DFT formation energy (eV/atom): -0.354

The structure in extended XYZ format:
```
56
Lattice="7.6263 0.0000 0.0000 0.0000 6.3442 0.0000 -4.5714 0.0000 9.6851" Properties=species:S:1:pos:R:3 pbc="T T T"
Li 1.0585 0.9494 1.2803
Li -1.2271 2.2227 6.1229
Li 4.2821 4.1215 3.5623
Li 1.9964 5.3948 8.4048
B -1.7428 1.3565 8.5077
B 0.5429 1.8156 3.6651
B 2.5120 4.5287 6.0200
B 4.7977 4.9877 1.1775
H 0.0878 4.7344 1.5592
H -2.1979 4.7820 6.4017
H -3.4354 3.9443 9.1401
H -1.1497 5.5720 4.2975
H -0.4764 1.5012 3.0293
H -2.7620 1.6710 7.8719
H -0.9273 3.9716 4.0209
H -3.2130 5.5448 8.8635
H -1.5841 0.1380 8.3982
H 0.7016 3.0341 3.5556
H 1.7409 4.7296 1.4634
H -0.5448 4.7867 6.3059
H 0.4713 0.4096 5.2852
H 2.7569 2.7626 0.4426
H 1.5350 1.2880 3.1036
H -0.7507 1.8841 7.9462
H 1.8252 4.5612 4.0149
H -0.4604 4.9552 8.8574
H 3.5154 1.3891 0.8277
H 1.2297 1.7831 5.6703
H 3.8056 4.4602 1.7389
H 1.5200 5.0562 6.5815
H 0.2980 3.5817 9.2425
H 2.5837 5.9347 4.4000
H 3.5997 1.5575 3.3792
H 1.3140 1.6146 8.2218
H 2.3533 3.3102 6.1295
H 4.6390 6.2062 1.2869
H 6.2679 0.7994 0.8216
H 3.9823 2.3727 5.6642
H 5.8170 4.6733 1.8133
H 3.5313 4.8431 6.6558
H 4.2046 0.7722 5.3876
H 6.4903 2.3999 0.5451
H 5.2528 1.5622 3.2834
H 2.9672 1.6099 8.1260
N -1.5301 4.6426 4.5141
N -3.8158 4.8737 9.3567
N -1.3914 4.3502 5.9292
N 0.8943 5.1662 1.0866
N 0.4104 1.4247 5.1633
N 2.6961 1.7474 0.3207
N 0.3588 4.5968 9.3644
N 2.6445 4.9196 4.5218
N 2.1607 1.1781 8.5985
N 4.4463 1.9940 3.7559
N 6.8707 1.4705 0.3285
N 4.5850 1.7016 5.1710
```

Entry 5:
## LiBH6O (PBE)

Data for crystalline LiBH6O at its relaxed geometry.

Energy with MP2020 corrections (eV per atom): -4.4202
Energy (eV/atom): -4.34
Mass density (Mg/m³): 0.7
Volume (Å³ per atom): 10.0
DFT formation energy (eV/atom): -0.654

The structure in extended XYZ format:
```
36
Lattice="6.2999 0.0000 0.0000 0.0000 6.3508 0.0000 -4.6984 0.0000 8.9699" Properties=species:S:1:pos:R:3 pbc="T T T"
Li -0.5976 0.5108 1.2287
Li -2.9468 2.6646 5.7137
Li 4.5483 3.6862 3.2562
Li 2.1991 5.8400 7.7411
B -2.1578 0.5692 6.6194
B 0.1914 2.6062 2.1344
B 1.4101 3.7446 6.8354
B 3.7593 5.7816 2.3505
H -3.7048 3.8481 7.1479
H -1.3556 5.6781 2.6629
H 0.7534 4.5637 1.0468
H -1.5958 4.9625 5.5317
H -1.5288 0.2184 5.6287
H 0.8204 2.9570 1.1437
H 0.6145 1.5147 2.5022
H -1.7347 1.6607 6.9872
H 0.3231 3.4016 3.0588
H -2.0261 6.1246 7.5437
H -0.5493 3.8186 5.6100
H 1.7999 5.7076 1.1251
H -0.1984 0.6432 7.8448
H 2.1508 2.5322 3.3599
H 3.6275 0.2262 1.4261
H 1.2783 2.9492 5.9111
H 3.3362 4.6901 1.9827
H 0.9870 4.8361 6.4676
H 0.7811 3.3938 7.8261
H 3.1303 6.1325 3.3412
H 3.1973 1.3883 3.4382
H 0.8481 1.7871 7.9231
H 2.9570 0.6727 6.3069
H 5.3062 2.5027 1.8220
O -1.4483 4.0154 5.2632
O 0.9009 5.5109 0.7783
O 0.7006 0.8399 8.1916
O 3.0498 2.3355 3.7066
```

Entry 6:
## Li3B5H2O10 (PBE)

Data for crystalline Li3B5H2O10 at its relaxed geometry.

Energy with MP2020 corrections (eV per atom): -7.3413
Energy (eV/atom): -7.00
Mass density (Mg/m³): 2.2
Volume (Å³ per atom): 8.8
DFT formation energy (eV/atom): -2.572

The structure in extended XYZ format:
```
80
Lattice="6.9409 0.0000 0.0000 0.0000 6.9409 0.0000 0.0000 0.0000 14.6953" Properties=species:S:1:pos:R:3 pbc="T T T"
Li 0.9382 1.0286 1.3658
Li 1.0286 0.9382 13.3295
Li 1.3489 5.5920 3.6738
Li 2.1215 2.1215 7.3476
Li 2.4419 4.4086 12.3872
Li 2.5323 4.4990 9.6557
Li 4.4086 2.4419 2.3081
Li 4.4990 2.5323 5.0396
Li 4.8194 4.8194 0.0000
Li 5.5920 1.3489 11.0215
Li 5.9123 6.0027 5.9819
Li 6.0027 5.9123 8.7134
B 0.0183 1.7827 5.7642
B 0.4422 6.4987 11.0215
B 1.6586 5.1568 0.3256
B 1.6863 1.8119 3.9995
B 1.6878 3.4888 2.0904
B 1.7827 0.0183 8.9310
B 1.7841 5.2823 7.0220
B 1.8119 1.6863 10.6958
B 3.0283 3.0283 0.0000
B 3.4521 5.2531 5.2572
B 3.4888 1.6878 12.6049
B 3.9126 3.9126 7.3476
B 5.1290 5.2546 3.3482
B 5.1568 1.6586 14.3696
B 5.1582 6.9226 1.5834
B 5.2531 3.4521 9.4380
B 5.2546 5.1290 11.3471
B 5.2823 1.7841 7.6733
B 6.4987 0.4422 3.6738
B 6.9226 5.1582 13.1119
H 0.1037 4.1536 7.1110
H 0.6831 3.3667 10.7848
H 2.7874 6.8372 0.2367
H 3.3667 0.6831 3.9105
H 3.5742 6.2578 11.2581
H 4.1536 0.1037 7.5843
H 6.2578 3.5742 3.4372
H 6.8372 2.7874 14.4586
O 0.3180 5.1154 7.1648
O 0.3700 4.7508 14.3654
O 0.6625 0.9879 11.3005
O 0.8932 5.7180 12.2261
O 0.9879 0.6625 3.3948
O 1.2229 6.0478 9.8168
O 1.2803 3.1004 3.3440
O 1.3361 1.9499 5.4355
O 1.5206 4.8066 1.7616
O 1.6449 3.1525 10.8386
O 1.8256 6.6229 0.1829
O 1.9499 1.3361 9.2598
O 2.1343 5.4203 5.5860
O 2.1901 6.5709 7.6775
O 2.2475 2.5773 1.2046
O 2.4826 4.1330 7.6267
O 2.5773 2.2475 13.4906
O 2.8079 4.4583 14.4162
O 3.1004 1.2803 11.3513
O 3.1525 1.6449 3.8567
O 3.7885 5.2960 11.2043
O 3.8405 5.6606 4.0037
O 4.1330 2.4826 7.0686
O 4.3636 4.6934 6.1430
O 4.4583 2.8079 0.2790
O 4.6934 4.3636 8.5523
O 4.7508 0.3700 0.3299
O 4.8066 1.5206 12.9336
O 4.9910 5.6048 1.9122
O 5.1154 0.3180 7.5305
O 5.2960 3.7885 3.4910
O 5.4203 2.1343 9.1093
O 5.6048 4.9910 12.7831
O 5.6606 3.8405 10.6916
O 5.7180 0.8932 2.4692
O 5.9531 6.2784 10.7424
O 6.0478 1.2229 4.8784
O 6.2784 5.9531 3.9528
O 6.5709 2.1901 7.0178
O 6.6229 1.8256 14.5124
```